First-principles (PBE) data for a geometry-optimized B5SbO10 structure, as listed in Materials Project.

Computed properties:
formation enthalpy at 0 K = -39.53 eV per formula unit
density = 2.79 g cm⁻³

Cell: 7.2986 15.0568 7.2888 Å, 90.00 91.84 90.00°
Element x y z (fractional)
B (0.0324, 0.2419, 0.4978)
B (0.0324, 0.2581, 0.9978)
B (0.1860, 0.6202, 0.9971)
B (0.1860, 0.8798, 0.4971)
B (0.2550, 0.5040, 0.7745)
B (0.2550, 0.9960, 0.2745)
B (0.2804, 0.7219, 0.4807)
B (0.2804, 0.7781, 0.9807)
B (0.2987, 0.0277, 0.5889)
B (0.2987, 0.4723, 0.0889)
B (0.7013, 0.5277, 0.9111)
B (0.7013, 0.9723, 0.4111)
B (0.7196, 0.2219, 0.0193)
B (0.7196, 0.2781, 0.5193)
B (0.7450, 0.0040, 0.7255)
B (0.7450, 0.4960, 0.2255)
B (0.8140, 0.1202, 0.5029)
B (0.8140, 0.3798, 0.0029)
B (0.9676, 0.7419, 0.0022)
B (0.9676, 0.7581, 0.5022)
Sb (0.3457, 0.1250, 0.9675)
Sb (0.3457, 0.3750, 0.4675)
Sb (0.6543, 0.6250, 0.5325)
Sb (0.6543, 0.8750, 0.0325)
O (0.0020, 0.6558, 0.0289)
O (0.0020, 0.8442, 0.5289)
O (0.0972, 0.6942, 0.4651)
O (0.0972, 0.8058, 0.9651)
O (0.1818, 0.5833, 0.8076)
O (0.1818, 0.9167, 0.3076)
O (0.2199, 0.2350, 0.9858)
O (0.2199, 0.2650, 0.4858)
O (0.2274, 0.5507, 0.1346)
O (0.2274, 0.9493, 0.6346)
O (0.2598, 0.0211, 0.0865)
O (0.2598, 0.4789, 0.5865)
O (0.3261, 0.6928, 0.0074)
O (0.3261, 0.8072, 0.5074)
O (0.3303, 0.0517, 0.4072)
O (0.3303, 0.4483, 0.9072)
O (0.3578, 0.0936, 0.7164)
O (0.3578, 0.4064, 0.2164)
O (0.4084, 0.6519, 0.4632)
O (0.4084, 0.8481, 0.9632)
O (0.5916, 0.1519, 0.0368)
O (0.5916, 0.3481, 0.5368)
O (0.6422, 0.5936, 0.7836)
O (0.6422, 0.9064, 0.2836)
O (0.6697, 0.5517, 0.0928)
O (0.6697, 0.9483, 0.5928)
O (0.6739, 0.1928, 0.4926)
O (0.6739, 0.3072, 0.9926)
O (0.7402, 0.5211, 0.4135)
O (0.7402, 0.9789, 0.9135)
O (0.7726, 0.0507, 0.3654)
O (0.7726, 0.4493, 0.8654)
O (0.7801, 0.7350, 0.5142)
O (0.7801, 0.7650, 0.0142)
O (0.8182, 0.0833, 0.6924)
O (0.8182, 0.4167, 0.1924)
O (0.9028, 0.1942, 0.0349)
O (0.9028, 0.3058, 0.5349)
O (0.9980, 0.1558, 0.4711)
O (0.9980, 0.3442, 0.9711)

=====

First-principles (PBE) data for a geometry-optimized ErScSi structure, as listed in Materials Project.

Computed properties:
formation enthalpy at 0 K = -1.24 eV per formula unit
density = 5.91 g cm⁻³

Cell: 8.5809 6.1245 8.5829 Å, 90.00 116.09 90.00°
Element x y z (fractional)
Er (0.0000, 0.0000, 0.0000)
Er (0.0250, 0.5000, 0.5455)
Er (0.2470, 0.0000, 0.5014)
Er (0.2908, 0.5000, 0.2787)
Er (0.6949, 0.5000, 0.9486)
Er (0.7456, 0.0000, 0.2542)
Sc (0.0050, 0.5000, 0.8903)
Sc (0.3419, 0.2479, 0.9061)
Sc (0.3419, 0.7521, 0.9061)
Sc (0.6362, 0.5000, 0.2588)
Sc (0.6521, 0.2476, 0.5962)
Sc (0.6521, 0.7524, 0.5962)
Si (0.0112, 0.0000, 0.6708)
Si (0.3839, 0.5000, 0.6380)
Si (0.4164, 0.0000, 0.2653)
Si (0.5925, 0.0000, 0.8466)
Si (0.9763, 0.3036, 0.2308)
Si (0.9763, 0.6964, 0.2308)

=====

First-principles (PBE) data for a geometry-optimized MgZn2Sb4O12 structure, as listed in Materials Project.

Computed properties:
formation enthalpy at 0 K = -35.25 eV per formula unit
density = 5.20 g cm⁻³
offset from the most stable computed form = 15 meV/atom

Cell: 5.3442 5.3494 9.6588 Å, 83.57 83.49 76.97°
Element x y z (fractional)
Mg (0.0000, 0.0000, 0.0000)
Zn (0.2819, 0.2788, 0.6460)
Zn (0.6975, 0.6921, 0.1577)
Sb (0.2644, 0.2607, 0.3187)
Sb (0.3449, 0.3432, 0.9893)
Sb (0.7601, 0.7552, 0.7847)
Sb (0.8204, 0.8174, 0.4560)
O (0.0280, 0.6279, 0.0037)
O (0.0534, 0.0491, 0.4516)
O (0.1483, 0.1470, 0.1479)
O (0.1871, 0.1896, 0.8499)
O (0.4058, 0.4003, 0.4579)
O (0.4632, 0.4582, 0.1587)
O (0.5211, 0.5199, 0.8309)
O (0.5643, 0.9414, 0.6163)
O (0.5740, 0.9502, 0.3115)
O (0.6281, 0.0253, 0.0018)
O (0.9438, 0.5602, 0.6153)
O (0.9544, 0.5702, 0.3120)

=====

First-principles (PBE) data for a geometry-optimized MgTi2O4 structure, as listed in Materials Project.

Computed properties:
formation enthalpy at 0 K = -21.95 eV per formula unit
density = 4.05 g cm⁻³
offset from the most stable computed form = 86 meV/atom

Cell: 5.9648 5.9648 5.9648 Å, 120.41 118.66 90.81°
Element x y z (fractional)
Mg (0.5000, 0.0000, 0.0000)
Mg (0.5000, 0.5000, 0.5000)
Ti (0.0000, 0.0000, 0.0000)
Ti (0.0000, 0.0000, 0.5000)
Ti (0.0000, 0.5000, 0.0000)
Ti (0.5000, 0.0000, 0.5000)
O (0.2458, 0.2432, 0.0025)
O (0.2468, 0.2211, 0.4743)
O (0.2468, 0.7725, 0.0257)
O (0.2593, 0.7568, 0.5025)
O (0.7407, 0.2432, 0.4975)
O (0.7532, 0.2275, 0.9743)
O (0.7532, 0.7789, 0.5257)
O (0.7542, 0.7568, 0.9975)